The following is a DFT calculation (PBE-GGA) of a geometry-optimized Zn7P10 structure.

a b c (Å): 17.008 13.271 11.088
angles (deg): 88.09 51.24 40.66
Atoms (fractional coordinates):
P: 0.124 0.881 0.213
Zn: 0.064 0.276 0.674
P: 0.432 0.332 0.972
Zn: 0.249 0.251 0.251
Zn: 0.923 0.983 0.579
P: 0.613 0.265 0.469
P: 0.264 0.972 0.332
P: 0.243 0.533 0.330
P: 0.278 0.986 0.818
P: 0.463 0.658 0.626
P: 0.782 0.213 0.881
P: 0.920 0.356 0.007
P: 0.037 0.468 0.126
Zn: 0.305 0.771 0.424
Zn: 0.671 0.735 0.327
P: 0.985 0.637 0.596
P: 0.781 0.596 0.637
P: 0.253 0.626 0.658
Zn: 0.826 0.750 0.945
Zn: 0.999 0.001 0.001
Zn: 0.500 0.424 0.771
P: 0.369 0.126 0.468
Zn: 0.986 0.674 0.276
P: 0.592 0.787 0.997
Zn: 0.267 0.327 0.735
P: 0.918 0.818 0.986
P: 0.624 0.997 0.787
Zn: 0.515 0.579 0.983
Zn: 0.479 0.945 0.750
Zn: 0.576 0.264 0.186
Zn: 0.974 0.186 0.264
P: 0.654 0.469 0.265
P: 0.717 0.007 0.356
P: 0.894 0.330 0.533

* energy relative to the elements: -0.1640 eV/atom
* electronic total energy: -3.867 eV per atom